A plane-wave DFT calculation with PBE was carried out for a relaxed Ca3La32Os5I60 crystal.

Its space group is P-1 (2). Its calculated volume is 4306.6 Å³/f.u. The calculation puts the size of the total moment at 10.0 μB/cell. The value obtained for the energy relative to the elements is -1.60 eV/atom. The value obtained for the calculated density is 5.06 g/cm³.

Cell lengths 10.128, 10.142, 43.908 Å; angles 90.87, 90.93, 107.21 degrees
Element x y z (fractional)
I 0.474 0.396 0.568
I 0.382 0.992 0.846
I 0.312 0.005 0.078
I 0.086 0.398 0.722
I 0.573 0.803 0.294
I 0.783 0.392 0.646
I 0.844 0.999 0.463
I 0.626 0.397 0.106
I 0.545 0.000 0.385
I 0.526 0.604 0.432
I 0.728 0.807 0.832
I 0.345 0.800 0.985
I 0.827 0.597 0.506
I 0.072 0.993 0.768
I 0.818 0.207 0.554
I 0.746 0.199 0.785
I 0.128 0.207 0.632
I 0.218 0.607 0.354
I 0.855 0.400 0.415
I 0.370 0.603 0.894
I 0.973 0.203 0.094
I 0.288 0.595 0.122
I 0.255 0.800 0.215
I 0.017 0.408 0.954
I 0.156 0.001 0.537
I 0.582 0.193 0.246
I 0.714 0.402 0.878
I 0.114 0.802 0.678
I 0.029 0.797 0.906
I 0.227 0.997 0.306
I 0.418 0.808 0.754
I 0.512 0.205 0.478
I 0.888 0.195 0.322
I 0.054 0.601 0.815
I 0.926 0.004 0.232
I 0.430 0.197 0.706
I 0.043 0.199 0.863
I 0.182 0.793 0.446
I 0.757 0.601 0.737
I 0.455 0.000 0.615
I 0.655 0.200 0.015
I 0.244 0.399 0.263
I 0.326 0.404 0.032
I 0.556 0.401 0.337
I 0.874 0.796 0.368
I 0.945 0.400 0.185
I 0.174 0.403 0.494
I 0.618 0.007 0.154
I 0.982 0.593 0.046
I 0.644 0.799 0.063
I 0.686 0.998 0.922
I 0.488 0.795 0.522
I 0.672 0.593 0.968
I 0.274 0.196 0.168
I 0.912 0.605 0.278
I 0.443 0.599 0.663
I 0.357 0.201 0.937
I 0.145 0.600 0.585
I 0.771 0.003 0.694
I 0.956 0.801 0.137
La 0.178 0.108 0.461
La 0.590 0.868 0.220
La 0.610 0.332 0.180
La 0.905 0.111 0.394
La 0.979 0.908 0.061
La 0.295 0.089 0.006
La 0.222 0.292 0.339
La 0.010 0.733 0.980
La 0.022 0.092 0.939
La 0.305 0.511 0.194
La 0.505 0.711 0.594
La 0.106 0.311 0.794
La 0.990 0.267 0.020
La 0.390 0.666 0.820
La 0.095 0.889 0.606
La 0.578 0.508 0.261
La 0.190 0.468 0.420
La 0.895 0.689 0.206
La 0.421 0.492 0.739
La 0.210 0.932 0.380
La 0.379 0.308 0.861
La 0.100 0.100 0.700
La 0.622 0.692 0.139
La 0.694 0.489 0.806
La 0.705 0.911 0.994
La 0.821 0.892 0.539
La 0.810 0.533 0.580
La 0.410 0.134 0.780
La 0.778 0.708 0.661
La 0.700 0.700 0.900
La 0.495 0.289 0.406
La 0.790 0.067 0.620
Ca 0.300 0.300 0.100
Ca 0.500 0.500 0.500
Ca 0.900 0.900 0.300
Os 0.000 0.000 0.000
Os 0.400 0.400 0.800
Os 0.800 0.800 0.600
Os 0.200 0.200 0.400
Os 0.600 0.600 0.200


A plane-wave DFT calculation with PBE was carried out for a relaxed Ca2I4O13 crystal.

Its space group is C2/c (15). Its calculated volume is 342.9 Å³/f.u. The calculation puts the size of the total moment at 4.0 μB/cell. The value obtained for the energy relative to the elements is -1.25 eV/atom. The value obtained for the energy above the most stable polymorph in this dataset is 66 kJ/mol of formula units. The value obtained for the calculated density is 3.85 g/cm³.

Cell lengths 6.425, 7.284, 17.637 Å; angles 67.82, 79.51, 63.83 degrees
Element x y z (fractional)
O 0.483 0.119 0.654
O 0.657 0.301 0.113
O 0.744 0.619 0.154
O 0.256 0.381 0.846
O 0.236 0.070 0.554
O 0.409 0.545 0.648
O 0.071 0.199 0.387
O 0.994 0.250 0.750
O 0.591 0.455 0.352
O 0.517 0.881 0.346
O 0.139 0.570 0.054
O 0.839 0.072 0.283
O 0.231 0.591 0.505
O 0.929 0.801 0.613
O 0.861 0.430 0.946
O 0.764 0.930 0.446
O 0.769 0.409 0.495
O 0.194 0.428 0.217
O 0.674 0.091 0.005
O 0.806 0.572 0.783
O 0.397 0.045 0.148
O 0.326 0.909 0.995
O 0.006 0.750 0.250
O 0.161 0.928 0.717
O 0.603 0.955 0.852
O 0.343 0.699 0.887
I 0.839 0.461 0.386
I 0.314 0.961 0.886
I 0.686 0.039 0.114
I 0.965 0.593 0.855
I 0.035 0.407 0.145
I 0.161 0.539 0.614
I 0.587 0.093 0.355
I 0.413 0.907 0.645
Ca 0.158 0.863 0.382
Ca 0.597 0.363 0.882
Ca 0.403 0.637 0.118
Ca 0.842 0.137 0.618


A plane-wave DFT calculation with PBE was carried out for a relaxed Ca2I4O13 crystal.

Its space group is C2/c (15). Its calculated volume is 346.9 Å³/f.u. The calculation puts the size of the total moment at 4.0 μB/cell. The value obtained for the energy relative to the elements is -1.29 eV/atom. The value obtained for the energy above the most stable polymorph in this dataset is 0 kJ/mol of formula units. The value obtained for the calculated density is 3.81 g/cm³.

Cell lengths 7.256, 7.256, 16.916 Å; angles 77.02, 77.02, 53.59 degrees
Element x y z (fractional)
O 0.311 0.772 0.506
O 0.106 0.192 0.736
O 0.148 0.852 0.750
O 0.640 0.916 0.612
O 0.808 0.894 0.764
O 0.228 0.689 0.994
O 0.894 0.808 0.264
O 0.916 0.640 0.112
O 0.689 0.228 0.494
O 0.192 0.106 0.236
O 0.767 0.870 0.933
O 0.479 0.706 0.155
O 0.084 0.360 0.888
O 0.360 0.084 0.388
O 0.374 0.388 0.639
O 0.388 0.374 0.139
O 0.626 0.612 0.361
O 0.233 0.130 0.067
O 0.130 0.233 0.567
O 0.706 0.479 0.655
O 0.612 0.626 0.861
O 0.294 0.521 0.345
O 0.870 0.767 0.433
O 0.772 0.311 0.006
O 0.852 0.148 0.250
O 0.521 0.294 0.845
I 0.006 0.581 0.352
I 0.331 0.846 0.395
I 0.994 0.419 0.648
I 0.669 0.154 0.605
I 0.846 0.331 0.895
I 0.154 0.669 0.105
I 0.419 0.994 0.148
I 0.581 0.006 0.852
Ca 0.627 0.166 0.380
Ca 0.834 0.373 0.120
Ca 0.166 0.627 0.880
Ca 0.373 0.834 0.620


A plane-wave DFT calculation with PBE was carried out for a relaxed Ca2I4O13 crystal.

Its space group is C2/c (15). Its calculated volume is 341.9 Å³/f.u. The calculation puts the size of the total moment at 4.0 μB/cell. The value obtained for the energy relative to the elements is -1.27 eV/atom. The value obtained for the energy above the most stable polymorph in this dataset is 33 kJ/mol of formula units. The value obtained for the calculated density is 3.86 g/cm³.

Cell lengths 7.211, 7.211, 16.422 Å; angles 82.31, 82.31, 54.10 degrees
Element x y z (fractional)
O 0.614 0.951 0.112
O 0.951 0.614 0.612
O 0.237 0.118 0.559
O 0.386 0.049 0.888
O 0.821 0.849 0.273
O 0.235 0.682 0.499
O 0.624 0.578 0.859
O 0.144 0.856 0.250
O 0.318 0.765 0.001
O 0.765 0.318 0.501
O 0.279 0.508 0.840
O 0.849 0.821 0.773
O 0.118 0.237 0.059
O 0.856 0.144 0.750
O 0.578 0.624 0.359
O 0.422 0.376 0.641
O 0.151 0.179 0.227
O 0.492 0.721 0.660
O 0.376 0.422 0.141
O 0.763 0.882 0.441
O 0.508 0.279 0.340
O 0.721 0.492 0.160
O 0.049 0.386 0.388
O 0.882 0.763 0.941
O 0.179 0.151 0.727
O 0.682 0.235 0.999
I 0.418 0.015 0.645
I 0.336 0.827 0.891
I 0.827 0.336 0.391
I 0.985 0.582 0.855
I 0.582 0.985 0.355
I 0.173 0.664 0.609
I 0.015 0.418 0.145
I 0.664 0.173 0.109
Ca 0.164 0.625 0.376
Ca 0.625 0.164 0.876
Ca 0.836 0.375 0.624
Ca 0.375 0.836 0.124


A plane-wave DFT calculation with PBE was carried out for a relaxed CaPIO8 crystal.

Its space group is P2/c (13). Its calculated volume is 183.6 Å³/f.u. The calculation puts the size of the total moment at 0.0 μB/cell. The value obtained for the energy relative to the elements is -1.60 eV/atom. The value obtained for the calculated density is 2.95 g/cm³.

Cell lengths 7.876, 6.962, 7.126 Å; angles 70.00, 90.00, 90.00 degrees
Element x y z (fractional)
O 0.704 0.702 0.320
O 0.668 0.094 0.952
O 0.922 0.356 0.833
O 0.078 0.856 0.833
O 0.296 0.298 0.680
O 0.668 0.406 0.048
O 0.831 0.422 0.638
O 0.169 0.922 0.638
O 0.332 0.906 0.048
O 0.704 0.798 0.680
O 0.831 0.078 0.362
O 0.169 0.578 0.362
O 0.922 0.144 0.167
O 0.332 0.594 0.952
O 0.078 0.644 0.167
O 0.296 0.202 0.320
Ca 0.612 0.750 0.000
Ca 0.388 0.250 0.000
P 0.222 0.750 0.000
P 0.778 0.250 0.000
I 0.157 0.250 0.500
I 0.843 0.750 0.500


A plane-wave DFT calculation with PBE was carried out for a relaxed Ca2PI crystal.

Its space group is P1 (1). Its calculated volume is 123.6 Å³/f.u. The calculation puts the size of the total moment at 0.0 μB/cell. The value obtained for the energy relative to the elements is -1.42 eV/atom. The value obtained for the energy above the most stable polymorph in this dataset is 34 kJ/mol of formula units. The value obtained for the calculated density is 3.20 g/cm³. The value obtained for the largest piezoelectric modulus is 0.723 C/m2.

Cell lengths 4.208, 4.259, 7.952 Å; angles 94.40, 87.89, 119.56 degrees
Element x y z (fractional)
I 0.949 0.934 0.002
P 0.018 0.024 0.500
Ca 0.346 0.709 0.682
Ca 0.687 0.334 0.315


A plane-wave DFT calculation with PBE was carried out for a relaxed Ca3PI3 crystal.

Its space group is I4_132 (214). Its calculated volume is 240.8 Å³/f.u. The value obtained for the energy relative to the elements is -1.68 eV/atom. The value obtained for the calculated density is 3.67 g/cm³. The value obtained for the largest piezoelectric modulus is 0.000 C/m2.

Cell lengths 10.776, 10.776, 10.776 Å; angles 109.47, 109.47, 109.47 degrees
Element x y z (fractional)
Ca 0.019 0.037 0.269
Ca 0.037 0.269 0.019
Ca 0.269 0.750 0.231
Ca 0.750 0.019 0.481
Ca 0.231 0.269 0.750
Ca 0.750 0.231 0.269
Ca 0.463 0.481 0.231
Ca 0.481 0.231 0.463
Ca 0.481 0.750 0.019
Ca 0.019 0.481 0.750
Ca 0.269 0.019 0.037
Ca 0.231 0.463 0.481
I 0.747 0.997 0.995
I 0.747 0.250 0.753
I 0.250 0.753 0.747
I 0.997 0.503 0.250
I 0.503 0.250 0.997
I 0.753 0.747 0.250
I 0.995 0.747 0.997
I 0.503 0.753 0.505
I 0.997 0.995 0.747
I 0.753 0.505 0.503
I 0.505 0.503 0.753
I 0.250 0.997 0.503
P 0.250 0.250 0.250
P 0.000 0.250 0.500
P 0.500 0.000 0.250
P 0.250 0.500 0.000


A plane-wave DFT calculation with PBE was carried out for a relaxed Ca2PI crystal.

Its space group is R-3m (166). Its calculated volume is 120.5 Å³/f.u. The value obtained for the energy relative to the elements is -1.50 eV/atom. The value obtained for the energy above the most stable polymorph in this dataset is 0 kJ/mol of formula units. The value obtained for the calculated density is 3.28 g/cm³.

Cell lengths 4.310, 4.310, 7.891 Å; angles 74.15, 74.15, 60.00 degrees
Element x y z (fractional)
P 0.500 0.500 0.500
Ca 0.771 0.771 0.688
Ca 0.229 0.229 0.312
I 0.000 0.000 0.000